# 1
Here is crystalline Rb2PuCl5 at its relaxed geometry from Materials Project. Energies are from PBE-GGA.

Values from the calculation:
The MP2020-corrected energy is -5.5707 eV per atom.

Structure (extended XYZ):
```
32
Lattice="13.574 0.000 0.000 0.000 8.903 0.000 0.000 0.000 8.339" Properties=species:S:1:pos:R:3 pbc="T T T"
Rb 2.323 0.018 0.365
Rb 2.323 4.433 0.365
Rb 4.464 4.469 4.535
Rb 4.464 8.885 4.535
Rb 9.110 0.018 3.804
Rb 9.110 4.433 3.804
Rb 11.251 4.469 7.974
Rb 11.251 8.885 7.974
Pu 0.020 2.226 4.678
Pu 6.767 6.677 0.508
Pu 6.807 2.226 7.831
Pu 13.554 6.677 3.662
Cl 0.176 2.226 7.494
Cl 1.053 4.796 5.448
Cl 1.053 8.558 5.448
Cl 2.305 2.226 3.142
Cl 2.611 6.677 2.842
Cl 4.176 2.226 7.011
Cl 4.482 6.677 7.311
Cl 5.734 0.345 1.278
Cl 5.734 4.107 1.278
Cl 6.611 6.677 3.324
Cl 6.963 2.226 5.015
Cl 7.840 4.796 7.061
Cl 7.840 8.558 7.061
Cl 9.092 2.226 1.028
Cl 9.398 6.677 1.328
Cl 10.963 2.226 5.498
Cl 11.269 6.677 5.198
Cl 12.521 0.345 2.892
Cl 12.521 4.107 2.892
Cl 13.398 6.677 0.846
```

---

# 2
Here is crystalline LiZnSi2H47C17N4 at its relaxed geometry from Materials Project. Energies are from PBE-GGA.

Values from the calculation:
The MP2020-corrected energy is -5.2465 eV per atom.

Structure (extended XYZ):
```
288
Lattice="10.155 0.000 0.000 0.000 14.250 0.000 -3.967 0.000 21.298" Properties=species:S:1:pos:R:3 pbc="T T T"
Li 1.544 0.347 3.930
Li -0.440 6.778 14.580
Li 6.628 7.472 6.719
Li 4.644 13.903 17.368
Zn 0.135 9.291 12.982
Zn 2.118 12.084 2.333
Zn 4.069 2.166 18.966
Zn 6.053 4.959 8.317
Si 1.668 9.514 0.563
Si -0.316 11.861 11.212
Si 2.374 10.416 10.993
Si 4.358 10.959 0.344
Si 1.830 3.291 20.955
Si 3.813 3.834 10.305
Si 6.504 2.389 10.087
Si 4.520 4.736 20.736
H -0.308 10.170 1.962
H -2.292 11.205 12.611
H -3.639 3.199 20.883
H -1.655 3.926 10.234
H -1.089 9.127 7.694
H -3.072 12.247 18.343
H -2.732 8.040 16.575
H -0.749 13.334 5.926
H -2.747 1.446 17.642
H -0.763 5.678 6.993
H -3.023 8.278 19.801
H -1.039 13.096 9.152
H -2.122 3.276 15.118
H -0.139 3.848 4.468
H -1.172 2.208 10.174
H -3.155 4.917 20.823
H -2.775 0.187 18.904
H -0.791 6.938 8.254
H -0.431 0.762 6.428
H -2.414 6.363 17.077
H 0.083 7.421 4.752
H -1.901 13.954 15.401
H -0.125 9.336 6.214
H -2.109 12.038 16.863
H -2.353 9.873 19.367
H -0.369 11.501 8.717
H 1.046 7.181 1.233
H -0.938 14.193 11.882
H 0.893 3.182 2.143
H -1.090 3.943 12.792
H 0.238 2.665 5.731
H -1.746 4.460 16.380
H 1.076 0.295 1.800
H -0.908 6.830 12.449
H 0.784 10.611 4.034
H -1.200 10.763 14.683
H -1.450 0.211 17.706
H 0.534 6.914 7.057
H -0.880 9.211 15.480
H 1.103 12.163 4.831
H -0.340 2.640 13.754
H 1.644 4.485 3.105
H 1.775 8.061 2.602
H -0.209 13.314 13.251
H 0.198 7.397 11.218
H 2.182 13.977 0.569
H -1.265 8.531 19.791
H 0.718 12.843 9.142
H 2.809 7.402 1.304
H 0.825 13.973 11.953
H 2.654 3.193 2.387
H 0.670 3.932 13.036
H 2.844 0.445 2.025
H 0.861 6.680 12.674
H 1.983 1.826 6.796
H 0.000 5.299 17.445
H 0.403 10.426 15.349
H 2.387 10.949 4.700
H 0.002 7.529 17.838
H 1.986 13.845 7.189
H 0.443 3.246 16.182
H 2.427 3.879 5.533
H 1.780 8.667 9.296
H -0.204 12.707 19.945
H -0.239 2.106 20.273
H 1.745 5.019 9.624
H 2.010 10.251 8.507
H 0.026 11.123 19.156
H 1.806 2.474 10.922
H 3.789 4.650 0.273
H 3.003 7.695 4.976
H 1.019 13.680 15.625
H 0.674 2.610 18.829
H 2.657 4.515 8.179
H 1.131 8.603 16.971
H 3.114 12.771 6.322
H 3.527 3.037 4.427
H 1.543 4.088 15.076
H 2.664 1.723 9.561
H 0.681 5.402 20.210
H 0.921 8.655 20.734
H 2.905 12.719 10.085
H 1.717 0.671 16.713
H 3.701 6.454 6.064
H 1.183 1.169 19.756
H 3.167 5.956 9.106
H 3.710 8.166 6.547
H 1.726 13.208 17.196
H 3.712 2.199 6.704
H 1.729 4.926 17.353
H 2.442 0.251 13.834
H 4.426 6.873 3.185
H 4.748 2.161 1.635
H 2.764 4.964 12.285
H 3.424 9.285 9.014
H 1.440 12.089 19.663
H 1.762 7.376 18.113
H 3.745 13.998 7.464
H 4.459 9.324 3.945
H 2.475 12.050 14.595
H 4.461 1.041 4.102
H 2.478 6.083 14.751
H 3.021 8.294 12.192
H 5.005 13.081 1.543
H 2.487 7.796 15.235
H 4.470 13.579 4.586
H 3.283 1.530 11.213
H 5.266 5.595 0.564
H 5.507 8.848 1.089
H 3.523 12.527 11.738
H 4.645 10.162 6.223
H 2.661 11.213 16.872
H 3.073 1.478 14.977
H 5.057 5.647 4.328
H 3.530 9.735 13.119
H 5.514 11.640 2.470
H 5.169 0.570 5.674
H 3.185 6.555 16.323
H 2.398 9.599 21.026
H 4.382 11.775 10.377
H 6.162 3.127 2.142
H 4.178 3.998 12.792
H 4.443 9.231 11.674
H 6.426 12.144 1.025
H 6.392 1.542 1.353
H 4.408 5.583 12.003
H 3.761 10.371 15.765
H 5.744 11.004 5.116
H 4.202 0.404 14.109
H 6.186 6.720 3.460
H 3.801 3.301 16.598
H 5.784 3.824 5.949
H 6.188 8.951 3.853
H 4.204 12.424 14.503
H 5.327 7.570 8.624
H 3.343 13.804 19.274
H 5.518 10.318 8.263
H 3.534 11.057 18.912
H 5.363 0.277 9.345
H 3.379 6.848 19.995
H 5.469 1.406 12.156
H 7.453 5.719 1.507
H 4.006 0.272 20.730
H 5.989 6.853 10.080
H 6.396 0.936 8.047
H 4.413 6.189 18.697
H 4.544 9.765 18.193
H 6.528 11.610 7.544
H 5.084 2.087 16.468
H 7.068 5.038 5.819
H 5.654 7.336 14.241
H 7.638 14.038 3.592
H 7.387 3.486 6.615
H 5.404 3.638 17.265
H 7.095 7.420 8.849
H 5.112 13.955 19.498
H 7.934 9.790 4.918
H 5.950 11.584 15.568
H 7.278 10.307 8.506
H 5.294 11.067 19.156
H 7.126 0.056 9.416
H 5.142 7.068 20.065
H 6.557 2.749 12.581
H 8.540 4.376 1.932
H 8.296 2.211 4.435
H 6.313 4.914 15.085
H 8.088 0.296 5.897
H 6.105 6.829 16.546
H 8.602 7.887 4.222
H 6.618 13.487 14.871
H 6.979 7.311 13.044
H 8.962 14.063 2.395
H 9.343 9.333 0.475
H 7.360 12.042 11.125
H 6.326 10.401 16.830
H 8.310 10.973 6.181
H 7.227 1.154 12.147
H 9.210 5.971 1.498
H 6.951 8.571 14.306
H 8.934 12.803 3.657
H 6.936 0.915 15.372
H 8.920 6.210 4.723
H 9.260 2.003 2.955
H 7.276 5.122 13.605
H 7.843 10.324 11.065
H 9.826 11.050 0.415
H 8.479 3.045 8.687
H 6.496 4.080 19.336
C -0.111 10.078 0.882
C -2.095 11.297 11.532
C -0.984 0.135 5.720
C -2.967 6.990 16.369
C -1.114 9.011 6.603
C -3.097 12.364 17.252
C -2.533 0.391 17.853
C -0.549 6.734 7.203
C 0.188 2.803 4.643
C -1.796 4.321 15.292
C -2.228 9.006 20.031
C -0.245 12.368 9.382
C 1.844 7.884 1.517
C -0.140 13.490 12.166
C 1.687 3.403 2.862
C -0.297 3.722 13.512
C -0.441 9.969 14.804
C 1.542 11.405 4.155
C 0.060 7.355 12.311
C 2.044 14.020 1.661
C 2.611 2.909 5.023
C 0.627 4.215 15.673
C 2.841 1.865 6.104
C 0.857 5.260 16.753
C 2.396 9.578 9.287
C 0.413 11.796 19.936
C 0.986 7.586 17.352
C 2.970 13.788 6.703
C 0.771 2.185 19.840
C 2.755 4.940 9.191
C 2.805 2.239 10.521
C 0.822 4.886 21.171
C 3.815 7.483 5.697
C 1.831 13.891 16.347
C 4.357 0.358 4.952
C 2.373 6.766 15.601
C 5.366 9.364 0.128
C 3.382 12.010 10.777
C 3.433 9.310 12.108
C 5.417 12.064 1.458
C 3.218 0.461 14.596
C 5.201 6.664 3.946
C 5.775 2.453 1.362
C 3.791 4.671 12.011
C 5.331 8.990 4.545
C 3.347 12.384 15.195
C 5.561 10.034 5.626
C 3.577 11.340 16.275
C 4.144 0.230 19.637
C 6.127 6.895 8.988
C 4.645 2.844 17.144
C 6.629 4.281 6.495
C 6.484 10.528 7.787
C 4.501 10.846 18.436
C 6.327 0.760 9.132
C 4.344 6.365 19.781
C 6.432 1.881 11.917
C 8.416 5.244 1.268
C 7.984 9.928 6.007
C 6.000 11.446 16.656
C 6.737 7.516 14.095
C 8.720 13.859 3.446
C 9.285 1.886 4.046
C 7.302 5.239 14.696
C 9.155 7.260 4.930
C 7.171 14.115 15.579
C 8.283 2.953 9.767
C 6.299 4.172 20.416
N -0.620 0.456 4.333
N -2.604 6.669 14.982
N 1.532 2.580 4.070
N -0.451 4.544 14.719
N 0.809 10.648 11.642
N 2.793 10.726 0.993
N 3.034 0.494 5.585
N 1.051 6.631 16.234
N 5.137 7.619 5.064
N 3.154 13.756 15.714
N 3.395 3.523 20.306
N 5.379 3.602 9.656
N 6.639 9.705 6.580
N 4.655 11.669 17.229
N 8.791 7.580 6.316
N 6.808 13.794 16.966
```

---

# 3
Here is crystalline Sc2Fe3Si5 at its relaxed geometry from Materials Project. Energies are from PBE-GGA.

Values from the calculation:
The MP2020-corrected energy is -7.1751 eV per atom.

Structure (extended XYZ):
```
40
Lattice="10.169 0.000 0.000 0.000 10.169 0.000 0.000 0.000 5.281" Properties=species:S:1:pos:R:3 pbc="T T T"
Sc 0.693 2.402 0.000
Sc 2.402 9.476 0.000
Sc 2.683 4.392 2.640
Sc 4.392 7.486 2.640
Sc 5.777 2.683 2.640
Sc 7.486 5.777 2.640
Sc 7.767 0.693 0.000
Sc 9.476 7.767 0.000
Fe 0.000 5.084 1.320
Fe 0.000 5.084 3.960
Fe 1.247 8.709 2.640
Fe 1.460 1.247 2.640
Fe 3.625 6.331 0.000
Fe 3.837 3.625 0.000
Fe 5.084 0.000 1.320
Fe 5.084 0.000 3.960
Fe 6.331 6.544 0.000
Fe 6.544 3.837 0.000
Fe 8.709 8.922 2.640
Fe 8.922 1.460 2.640
Si 0.000 0.000 1.301
Si 0.000 0.000 3.980
Si 0.286 3.239 2.640
Si 1.810 6.895 1.320
Si 1.810 6.895 3.960
Si 1.845 4.799 0.000
Si 3.239 9.883 2.640
Si 3.274 1.810 1.320
Si 3.274 1.810 3.960
Si 4.799 8.324 0.000
Si 5.084 5.084 1.339
Si 5.084 5.084 3.941
Si 5.370 1.845 0.000
Si 6.895 8.359 1.320
Si 6.895 8.359 3.960
Si 6.930 0.286 2.640
Si 8.324 5.370 0.000
Si 8.359 3.274 1.320
Si 8.359 3.274 3.960
Si 9.883 6.930 2.640
```

---

# 4
Here is crystalline NbSe2 at its relaxed geometry from Materials Project. Energies are from PBE-GGA.

Values from the calculation:
The MP2020-corrected energy is -6.8366 eV per atom.

Structure (extended XYZ):
```
12
Lattice="3.470 0.000 0.000 -1.735 3.005 0.000 0.000 0.000 26.572" Properties=species:S:1:pos:R:3 pbc="T T T"
Nb 0.000 0.000 0.000
Nb 0.000 0.000 6.630
Nb 0.000 0.000 19.942
Nb 0.000 2.004 13.286
Se 0.000 0.000 11.594
Se 0.000 0.000 14.978
Se 0.000 2.004 4.933
Se 0.000 2.004 21.639
Se 1.735 1.002 1.699
Se 1.735 1.002 8.327
Se 1.735 1.002 18.245
Se 1.735 1.002 24.873
```

---

# 5
Here is crystalline Ba2SiSe4 at its relaxed geometry from Materials Project. Energies are from PBE-GGA.

Values from the calculation:
The MP2020-corrected energy is -5.0458 eV per atom.

Structure (extended XYZ):
```
14
Lattice="7.070 0.000 0.000 0.000 7.126 0.000 -2.938 0.000 8.828" Properties=species:S:1:pos:R:3 pbc="T T T"
Ba 1.392 1.781 0.392
Ba 0.308 1.781 5.057
Ba 3.825 5.344 3.770
Ba 2.740 5.344 8.436
Si -0.867 5.344 6.964
Si 5.000 1.781 1.864
Se -0.778 3.589 2.398
Se -0.778 7.100 2.398
Se 2.391 5.344 0.410
Se 1.023 5.344 5.652
Se 3.109 1.781 3.176
Se 1.741 1.781 8.418
Se 4.910 0.026 6.430
Se 4.910 3.537 6.430
```

---

# 6
Here is crystalline Sm3Np at its relaxed geometry from Materials Project. Energies are from PBE-GGA.

Values from the calculation:
The offset from the most stable computed form comes out at 0.011 eV per atom.

Structure (extended XYZ):
```
8
Lattice="7.194 0.000 0.000 -3.597 6.230 0.000 0.000 0.000 5.731" Properties=species:S:1:pos:R:3 pbc="T T T"
Sm 0.000 2.110 1.433
Sm -1.770 5.175 1.433
Sm 1.827 1.055 4.298
Sm 1.770 5.175 1.433
Sm 5.367 1.055 4.298
Sm 3.597 4.121 4.298
Np 0.000 4.154 4.298
Np 3.597 2.077 1.433
```

---

# 7
Here is crystalline Mg6CdSiO8 at its relaxed geometry from Materials Project. Energies are from PBE-GGA.

Values from the calculation:
The MP2020-corrected energy is -5.9365 eV per atom. The offset from the most stable computed form comes out at 0.009 eV per atom.

Structure (extended XYZ):
```
16
Lattice="4.439 0.000 0.000 0.000 4.439 0.000 0.000 0.000 8.712" Properties=species:S:1:pos:R:3 pbc="T T T"
Mg 0.000 0.000 0.000
Mg 0.000 0.000 4.356
Mg 0.000 2.219 2.152
Mg 0.000 2.219 6.560
Mg 2.219 0.000 2.152
Mg 2.219 0.000 6.560
Cd 2.219 2.219 4.356
Si 2.219 2.219 0.000
O 0.000 0.000 2.167
O 0.000 0.000 6.545
O 0.000 2.219 0.000
O 0.000 2.219 4.356
O 2.219 0.000 0.000
O 2.219 0.000 4.356
O 2.219 2.219 2.028
O 2.219 2.219 6.684
```

---

Number 1: ΔH_f (0 K) -2.387 eV per atom. Number 2: ΔH_f (0 K) -0.195 eV per atom. Number 3: ΔH_f (0 K) -0.655 eV per atom. Number 4: ΔH_f (0 K) -1.139 eV per atom. Number 5: ΔH_f (0 K) -1.725 eV per atom. Number 6: ΔH_f (0 K) 0.380 eV per atom. Number 7: ΔH_f (0 K) -2.466 eV per atom.